Sr4LaMn5O13 GGA+U relaxed; energy = -7.16 eV/atom; DFT formation energy = -2.6182 eV per atom; energy relative to the lowest polymorph listed for this composition = 47 meV/atom
1.0
8.8596 -3.8437 0.0000
8.8596 3.8437 0.0000
-8.8361 0.0000 8.9428
Sr La Mn O
8 2 10 26
direct
0.0417 0.5442 0.8845
0.1413 0.6405 0.6796
0.3595 0.8587 0.3204
0.4558 0.9583 0.1155
0.5442 0.0417 0.8845
0.6405 0.1413 0.6796
0.8587 0.3595 0.3204
0.9583 0.4558 0.1155
0.2498 0.7502 0.5000
0.7502 0.2498 0.5000
0.0000 0.0000 0.0000
0.0997 0.0997 0.8049
0.2028 0.2028 0.6061
0.2968 0.2968 0.3953
0.4016 0.4016 0.1945
0.5000 0.5000 0.0000
0.5984 0.5984 0.8055
0.7032 0.7032 0.6047
0.7972 0.7972 0.3939
0.9003 0.9003 0.1951
0.0461 0.0461 0.4140
0.0569 0.5515 0.3987
0.0591 0.0591 0.9171
0.1236 0.6237 0.1587
0.1390 0.1390 0.1954
0.1593 0.1593 0.7192
0.2460 0.2460 0.5028
0.3445 0.3445 0.2776
0.3594 0.3594 0.8045
0.3763 0.8764 0.8413
0.4427 0.4427 0.0848
0.4485 0.9431 0.6013
0.4499 0.4499 0.5863
0.5501 0.5501 0.4137
0.5515 0.0569 0.3987
0.5573 0.5573 0.9152
0.6237 0.1236 0.1587
0.6406 0.6406 0.1955
0.6555 0.6555 0.7224
0.7540 0.7540 0.4972
0.8407 0.8407 0.2808
0.8610 0.8610 0.8046
0.8764 0.3763 0.8413
0.9409 0.9409 0.0829
0.9431 0.4485 0.6013
0.9539 0.9539 0.5860

***

Na9Fe2P4HO18 GGA+U relaxed; energy = -6.11 eV/atom; DFT formation energy = -2.4045 eV per atom
1.0
8.6134 -7.4357 0.0000
8.6134 7.4357 0.0000
-2.9717 0.0000 6.5361
Na Fe P H O
18 4 8 2 36
direct
0.0000 0.0000 0.0000
0.0000 0.0000 0.5000
0.0226 0.7403 0.6334
0.0271 0.4855 0.2678
0.0287 0.4851 0.7488
0.2274 0.2306 0.7263
0.2306 0.2274 0.2263
0.2655 0.5002 0.1319
0.4851 0.0287 0.2488
0.4855 0.0271 0.7678
0.5002 0.2655 0.6319
0.5018 0.7838 0.3929
0.5238 0.5260 0.5253
0.5260 0.5238 0.0253
0.7403 0.0226 0.1334
0.7558 0.7657 0.7621
0.7657 0.7558 0.2621
0.7838 0.5018 0.8929
0.2631 0.7581 0.5026
0.2635 0.7591 0.0228
0.7581 0.2631 0.0026
0.7591 0.2635 0.5228
0.0176 0.2602 0.8897
0.2602 0.0176 0.3897
0.2620 0.4988 0.6344
0.4988 0.2620 0.1344
0.5261 0.7642 0.8954
0.7559 0.9975 0.6297
0.7642 0.5261 0.3954
0.9975 0.7559 0.1297
0.2319 0.9143 0.8211
0.9143 0.2319 0.3211
0.0668 0.1236 0.8440
0.0733 0.7806 0.3608
0.0741 0.7826 0.0017
0.1236 0.0668 0.3440
0.1284 0.3474 0.9881
0.1775 0.3876 0.5392
0.2145 0.8263 0.7715
0.2270 0.5788 0.4789
0.2272 0.5803 0.8340
0.2918 0.9409 0.5471
0.2945 0.9398 0.1901
0.3113 0.7003 0.2578
0.3474 0.1284 0.4881
0.3876 0.1775 0.0392
0.4011 0.4580 0.6829
0.4492 0.7389 0.0233
0.4501 0.7418 0.6654
0.4580 0.4011 0.1829
0.5701 0.8989 0.9860
0.5788 0.2270 0.9789
0.5803 0.2272 0.3340
0.6198 0.9573 0.5412
0.6404 0.6701 0.9038
0.6701 0.6404 0.4038
0.7003 0.3113 0.7578
0.7389 0.4492 0.5233
0.7418 0.4501 0.1654
0.7806 0.0733 0.8608
0.7826 0.0741 0.5017
0.8263 0.2145 0.2715
0.8484 0.8821 0.6196
0.8821 0.8484 0.1196
0.8989 0.5701 0.4860
0.9398 0.2945 0.6901
0.9409 0.2918 0.0471
0.9573 0.6198 0.0412